[1]
{
  "formula": "Rb2CoSe2",
  "functional": "PBE-GGA",
  "state": "optimized geometry",
  "lattice": [[-5.263, 5.080, 4.212], [-6.917, 1.349, -4.646], [4.056, -6.902, 2.678]],
  "species": ["Rb", "Rb", "Rb", "Rb", "Co", "Co", "Se", "Se", "Se", "Se"],
  "fractional_positions": [[0.473, 0.645, 0.827], [0.527, 0.355, 0.173], [0.182, 0.855, 0.327], [0.818, 0.145, 0.673], [0.000, 0.250, 0.250], [0.000, 0.750, 0.750], [0.923, 0.596, 0.327], [0.730, 0.904, 0.827], [0.270, 0.096, 0.173], [0.077, 0.404, 0.673]],
  "space_group": "Ibam",
  "e_tot_ev_per_fu": -19.651
}

***

[2]
{
  "formula": "Ta2CoRe2Se8",
  "functional": "PBE-GGA",
  "state": "optimized geometry",
  "lattice": [[1.905, 0.669, -2.835], [-2.042, -2.816, 0.099], [-18.872, 13.347, -9.531]],
  "species": ["Ta", "Ta", "Co", "Re", "Re", "Se", "Se", "Se", "Se", "Se", "Se", "Se", "Se"],
  "fractional_positions": [[0.000, 0.000, 0.129], [0.000, 0.000, 0.625], [0.000, 0.000, 0.255], [0.000, 0.000, 0.371], [0.000, 0.000, 0.875], [0.667, 0.333, 0.306], [0.667, 0.333, 0.813], [0.333, 0.667, 0.196], [0.333, 0.667, 0.691], [0.333, 0.667, 0.062], [0.333, 0.667, 0.558], [0.667, 0.333, 0.432], [0.667, 0.333, 0.937]],
  "space_group": "P3m1",
  "e_tot_ev_per_fu": -88.036
}

***

[3]
{
  "formula": "ZrCoRe",
  "functional": "PBE-GGA",
  "state": "optimized geometry",
  "lattice": [[4.516, 2.282, 0.697], [-2.107, -2.734, 3.785], [3.912, -6.886, -2.796]],
  "species": ["Zr", "Zr", "Zr", "Zr", "Co", "Co", "Co", "Co", "Re", "Re", "Re", "Re"],
  "fractional_positions": [[0.661, 0.330, 0.572], [0.329, 0.665, 0.443], [0.329, 0.665, 0.057], [0.661, 0.330, 0.928], [0.002, 0.001, 0.512], [0.002, 0.001, 0.988], [0.176, 0.341, 0.750], [0.176, 0.836, 0.750], [0.664, 0.832, 0.750], [0.831, 0.664, 0.250], [0.831, 0.167, 0.250], [0.337, 0.168, 0.250]],
  "space_group": "Amm2",
  "e_tot_ev_per_fu": -29.019
}

***

[4]
{
  "formula": "CoRh",
  "functional": "PBE-GGA",
  "state": "optimized geometry",
  "lattice": [[4.326, -1.329, 0.000], [4.326, 1.329, 0.000], [3.918, 0.000, 2.265]],
  "species": ["Co", "Rh"],
  "fractional_positions": [[0.000, 0.000, 0.000], [0.500, 0.500, 0.500]],
  "space_group": "R-3m",
  "e_tot_ev_per_fu": -14.308
}

***

[5]
{
  "formula": "CoRh3",
  "functional": "PBE-GGA",
  "state": "optimized geometry",
  "lattice": [[-3.127, -0.300, 2.078], [-1.369, -2.536, -2.425], [1.592, -2.769, 1.996]],
  "species": ["Co", "Rh", "Rh", "Rh"],
  "fractional_positions": [[0.000, 0.000, 0.000], [0.000, 0.500, 0.500], [0.500, 0.000, 0.500], [0.500, 0.500, 0.000]],
  "space_group": "Pm-3m",
  "e_tot_ev_per_fu": -28.939
}

***

[6]
{
  "formula": "Co8RhS8",
  "functional": "PBE-GGA",
  "state": "optimized geometry",
  "lattice": [[5.290, 4.578, 0.294], [4.729, 0.222, -5.159], [0.151, 5.462, -4.378]],
  "species": ["Co", "Co", "Co", "Co", "Co", "Co", "Co", "Co", "Rh", "S", "S", "S", "S", "S", "S", "S", "S"],
  "fractional_positions": [[0.621, 0.126, 0.126], [0.126, 0.621, 0.126], [0.126, 0.126, 0.621], [0.126, 0.126, 0.126], [0.379, 0.874, 0.874], [0.874, 0.379, 0.874], [0.874, 0.874, 0.379], [0.874, 0.874, 0.874], [0.500, 0.500, 0.500], [0.250, 0.250, 0.250], [0.750, 0.750, 0.750], [0.744, 0.256, 0.256], [0.744, 0.256, 0.744], [0.744, 0.744, 0.256], [0.256, 0.744, 0.744], [0.256, 0.744, 0.256], [0.256, 0.256, 0.744]],
  "space_group": "Fm-3m",
  "e_tot_ev_per_fu": -105.958
}

***

[7]
{
  "formula": "Co2RhS4",
  "functional": "PBE-GGA",
  "state": "optimized geometry",
  "lattice": [[3.823, 1.046, 5.448], [-2.945, -5.221, 3.075], [2.912, -0.802, -6.022]],
  "species": ["Co", "Co", "Co", "Co", "Rh", "Rh", "S", "S", "S", "S", "S", "S", "S", "S"],
  "fractional_positions": [[0.624, 0.874, 0.750], [0.376, 0.126, 0.250], [0.000, 0.000, 0.500], [0.000, 0.500, 0.000], [0.000, 0.500, 0.500], [0.500, 0.500, 0.000], [0.240, 0.242, 0.502], [0.766, 0.249, 0.516], [0.240, 0.738, 0.998], [0.233, 0.249, 0.984], [0.767, 0.751, 0.016], [0.760, 0.262, 0.002], [0.234, 0.751, 0.484], [0.760, 0.758, 0.498]],
  "space_group": "Imma",
  "e_tot_ev_per_fu": -41.081
}

***

[8]
{
  "formula": "Sc2CoRh",
  "functional": "PBE-GGA",
  "state": "optimized geometry",
  "lattice": [[2.508, -0.523, 3.711], [1.284, 3.608, 2.380], [-1.796, 0.777, 4.063]],
  "species": ["Sc", "Sc", "Co", "Rh"],
  "fractional_positions": [[0.250, 0.250, 0.250], [0.750, 0.750, 0.750], [0.500, 0.500, 0.500], [0.000, 0.000, 0.000]],
  "space_group": "Fm-3m",
  "e_tot_ev_per_fu": -29.852
}